Density functional theory data (PBE) for a geometry-optimized Nd2CdAg structure.

abc: 5.389 5.389 5.389
angles: 60.00 60.00 60.00
Atoms (fractional coordinates):
Nd1 0.250 0.250 0.250
Nd2 0.750 0.750 0.750
Cd1 0.000 0.000 0.000
Ag1 0.500 0.500 0.500

## Properties
Formation energy: -0.28 eV/atom

***

Density functional theory data (PBE) for a geometry-optimized NdCdAg2 structure.

abc: 5.063 5.063 5.063
angles: 60.00 60.00 60.00
Atoms (fractional coordinates):
Nd1 0.000 0.000 0.000
Cd1 0.500 0.500 0.500
Ag1 0.250 0.250 0.250
Ag2 0.750 0.750 0.750

## Properties
Formation energy: -0.28 eV/atom

***

Density functional theory data (PBE) for a geometry-optimized CdAg2O4 structure.

abc: 7.267 7.267 7.267
angles: 131.13 131.13 71.61
Atoms (fractional coordinates):
Cd1 0.375 0.625 0.750
Cd2 0.625 0.375 0.250
Ag1 0.000 0.000 0.000
Ag2 0.000 0.000 0.500
Ag3 0.000 0.500 0.000
Ag4 0.500 0.000 0.500
O1 0.225 0.244 0.981
O2 0.236 0.756 0.481
O3 0.244 0.225 0.481
O4 0.244 0.764 0.019
O5 0.756 0.236 0.981
O6 0.756 0.775 0.519
O7 0.764 0.244 0.519
O8 0.775 0.756 0.019

## Properties
Formation energy: -0.63 eV/atom

***

Density functional theory data (PBE) for a geometry-optimized CdAg2O4 structure.

abc: 8.337 7.389 6.115
angles: 75.60 59.14 45.27
Atoms (fractional coordinates):
Cd1 0.125 0.125 0.125
Cd2 0.875 0.875 0.875
Ag1 0.253 0.253 0.497
Ag2 0.497 0.497 0.253
Ag3 0.503 0.503 0.747
Ag4 0.747 0.747 0.503
O1 0.097 0.404 0.259
O2 0.259 0.740 0.097
O3 0.260 0.741 0.596
O4 0.404 0.097 0.740
O5 0.596 0.903 0.260
O6 0.740 0.259 0.404
O7 0.741 0.260 0.903
O8 0.903 0.596 0.741

## Properties
Formation energy: -0.60 eV/atom

***

Density functional theory data (PBE) for a geometry-optimized PrCdAg2 structure.

abc: 5.091 5.091 5.091
angles: 60.00 60.00 60.00
Atoms (fractional coordinates):
Pr1 0.000 0.000 0.000
Cd1 0.500 0.500 0.500
Ag1 0.250 0.250 0.250
Ag2 0.750 0.750 0.750

## Properties
Formation energy: -0.28 eV/atom

***

Density functional theory data (PBE) for a geometry-optimized Cd2AgRh structure.

abc: 4.680 4.680 4.680
angles: 60.00 60.00 60.00
Atoms (fractional coordinates):
Cd1 0.250 0.250 0.250
Cd2 0.750 0.750 0.750
Ag1 0.000 0.000 0.000
Rh1 0.500 0.500 0.500

## Properties
Formation energy: -0.08 eV/atom

***

Density functional theory data (PBE) for a geometry-optimized CdAgSb structure.

abc: 4.734 4.734 4.734
angles: 60.00 60.00 60.00
Atoms (fractional coordinates):
Cd1 0.000 0.000 0.000
Ag1 0.250 0.250 0.250
Sb1 0.500 0.500 0.500

## Properties
Formation energy: -0.06 eV/atom

***

Density functional theory data (PBE) for a geometry-optimized CdAg2SnSe4 structure.

abc: 7.135 4.369 7.536
angles: 90.00 90.03 90.00
Atoms (fractional coordinates):
Cd1 0.000 0.000 0.000
Ag1 0.002 0.500 0.490
Ag2 0.525 0.500 0.155
Sn1 0.519 0.000 0.676
Se1 0.385 0.500 0.501
Se2 0.387 0.000 0.993
Se3 0.879 0.000 0.657
Se4 0.893 0.500 0.162

## Properties
Formation energy: -0.53 eV/atom

***

Density functional theory data (PBE) for a geometry-optimized ThCdAg2 structure.

abc: 5.075 5.075 5.075
angles: 60.00 60.00 60.00
Atoms (fractional coordinates):
Th1 0.000 0.000 0.000
Cd1 0.500 0.500 0.500
Ag1 0.250 0.250 0.250
Ag2 0.750 0.750 0.750

## Properties
Formation energy: -0.16 eV/atom

***

Density functional theory data (PBE) for a geometry-optimized ZnCdAg2 structure.

abc: 2.960 2.960 9.587
angles: 90.00 90.00 117.60
Atoms (fractional coordinates):
Zn1 0.000 0.000 0.000
Cd1 0.500 0.500 0.747
Ag1 0.000 0.000 0.481
Ag2 0.500 0.500 0.230

## Properties
Formation energy: 0.03 eV/atom

***

Density functional theory data (PBE) for a geometry-optimized ZnCdAg2 structure.

abc: 3.209 3.209 6.952
angles: 90.00 90.00 90.00
Atoms (fractional coordinates):
Zn1 0.000 0.000 0.000
Cd1 0.000 0.000 0.500
Ag1 0.500 0.500 0.224
Ag2 0.500 0.500 0.776

## Properties
Formation energy: -0.05 eV/atom

***

Density functional theory data (PBE) for a geometry-optimized ZrCdAg2 structure.

abc: 4.801 4.801 4.801
angles: 60.00 60.00 60.00
Atoms (fractional coordinates):
Zr1 0.000 0.000 0.000
Cd1 0.500 0.500 0.500
Ag1 0.250 0.250 0.250
Ag2 0.750 0.750 0.750

## Properties
Formation energy: -0.09 eV/atom